Record 1
# TiS5Cl2O6 PBE relaxed
# Calculated formation energy = -16.67 eV/f.u.
# Energy = -74.5 eV/f.u.
# Energy above the most stable polymorph in this dataset = 0.0 meV/atom
# Size of the total moment = 0.00 μB/f.u.
data_TiS5Cl2O6
_chemical_formula_sum 'Ti2 S10 Cl4 O12'
_symmetry_space_group_name_H-M 'P 1'
_symmetry_Int_Tables_number 1
_symmetry_space_group_name_Hall 'P 1'
_cell_length_a 6.256
_cell_length_b 9.733
_cell_length_c 9.845
_cell_angle_alpha 93.77
_cell_angle_beta 90.76
_cell_angle_gamma 94.94
loop_
_atom_site_label
_atom_site_type_symbol
_atom_site_fract_x
_atom_site_fract_y
_atom_site_fract_z
Ti1 Ti 0.238 0.299 0.084
Ti2 Ti 0.762 0.701 0.916
S1 S 0.070 0.752 0.155
S2 S 0.077 0.642 0.622
S3 S 0.241 0.924 0.269
S4 S 0.405 0.158 0.792
S5 S 0.407 0.642 0.648
S6 S 0.593 0.358 0.352
S7 S 0.595 0.842 0.208
S8 S 0.759 0.076 0.731
S9 S 0.923 0.358 0.378
S10 S 0.930 0.248 0.845
Cl1 Cl 0.266 0.958 0.773
Cl2 Cl 0.296 0.649 0.373
Cl3 Cl 0.704 0.351 0.627
Cl4 Cl 0.734 0.042 0.227
O1 O 0.008 0.186 0.981
O2 O 0.031 0.344 0.241
O3 O 0.233 0.055 0.200
O4 O 0.240 0.440 0.004
O5 O 0.437 0.195 0.942
O6 O 0.469 0.657 0.799
O7 O 0.531 0.343 0.201
O8 O 0.563 0.805 0.058
O9 O 0.760 0.560 0.996
O10 O 0.767 0.945 0.800
O11 O 0.969 0.656 0.759
O12 O 0.992 0.814 0.019

Record 2
# Ti4S24Cl6O PBE relaxed
# Calculated formation energy = -37.10 eV/f.u.
# Energy = -171.2 eV/f.u.
# Size of the total moment = 0.01 μB/f.u.
data_Ti4S24Cl6O
_chemical_formula_sum 'Ti16 S96 Cl24 O4'
_symmetry_space_group_name_H-M 'P 1'
_symmetry_Int_Tables_number 1
_symmetry_space_group_name_Hall 'P 1'
_cell_length_a 28.799
_cell_length_b 9.664
_cell_length_c 14.134
_cell_angle_alpha 90.00
_cell_angle_beta 90.00
_cell_angle_gamma 90.00
loop_
_atom_site_label
_atom_site_type_symbol
_atom_site_fract_x
_atom_site_fract_y
_atom_site_fract_z
Ti1 Ti 0.028 0.245 0.155
Ti2 Ti 0.028 0.755 0.655
Ti3 Ti 0.053 0.490 0.775
Ti4 Ti 0.053 0.510 0.275
Ti5 Ti 0.447 0.010 0.275
Ti6 Ti 0.447 0.990 0.775
Ti7 Ti 0.472 0.255 0.655
Ti8 Ti 0.472 0.745 0.155
Ti9 Ti 0.528 0.255 0.845
Ti10 Ti 0.528 0.745 0.345
Ti11 Ti 0.553 0.010 0.225
Ti12 Ti 0.553 0.990 0.725
Ti13 Ti 0.947 0.490 0.725
Ti14 Ti 0.947 0.510 0.225
Ti15 Ti 0.972 0.245 0.345
Ti16 Ti 0.972 0.755 0.845
S1 S 0.011 0.323 0.681
S2 S 0.011 0.677 0.181
S3 S 0.032 0.077 0.282
S4 S 0.032 0.923 0.782
S5 S 0.082 0.446 0.121
S6 S 0.082 0.554 0.621
S7 S 0.103 0.308 0.222
S8 S 0.103 0.692 0.722
S9 S 0.128 0.175 0.572
S10 S 0.128 0.825 0.072
S11 S 0.145 0.099 0.440
S12 S 0.145 0.901 0.940
S13 S 0.158 0.047 0.672
S14 S 0.158 0.953 0.172
S15 S 0.201 0.206 0.387
S16 S 0.201 0.794 0.887
S17 S 0.208 0.328 0.035
S18 S 0.208 0.672 0.535
S19 S 0.219 0.134 0.719
S20 S 0.219 0.866 0.219
S21 S 0.226 0.453 0.147
S22 S 0.226 0.547 0.647
S23 S 0.239 0.404 0.914
S24 S 0.239 0.596 0.414
S25 S 0.261 0.096 0.414
S26 S 0.261 0.904 0.914
S27 S 0.274 0.047 0.647
S28 S 0.274 0.953 0.147
S29 S 0.281 0.366 0.219
S30 S 0.281 0.634 0.719
S31 S 0.292 0.172 0.535
S32 S 0.292 0.828 0.035
S33 S 0.299 0.294 0.887
S34 S 0.299 0.706 0.387
S35 S 0.342 0.453 0.172
S36 S 0.342 0.547 0.672
S37 S 0.355 0.401 0.940
S38 S 0.355 0.599 0.440
S39 S 0.372 0.325 0.072
S40 S 0.372 0.675 0.572
S41 S 0.397 0.192 0.722
S42 S 0.397 0.808 0.222
S43 S 0.418 0.054 0.621
S44 S 0.418 0.946 0.121
S45 S 0.468 0.423 0.782
S46 S 0.468 0.577 0.282
S47 S 0.489 0.177 0.181
S48 S 0.489 0.823 0.681
S49 S 0.511 0.177 0.319
S50 S 0.511 0.823 0.819
S51 S 0.532 0.423 0.718
S52 S 0.532 0.577 0.218
S53 S 0.582 0.054 0.879
S54 S 0.582 0.946 0.379
S55 S 0.603 0.192 0.778
S56 S 0.603 0.808 0.278
S57 S 0.628 0.325 0.428
S58 S 0.628 0.675 0.928
S59 S 0.645 0.401 0.560
S60 S 0.645 0.599 0.060
S61 S 0.658 0.453 0.328
S62 S 0.658 0.547 0.828
S63 S 0.701 0.294 0.613
S64 S 0.701 0.706 0.113
S65 S 0.708 0.172 0.965
S66 S 0.708 0.828 0.465
S67 S 0.719 0.366 0.281
S68 S 0.719 0.634 0.781
S69 S 0.726 0.047 0.853
S70 S 0.726 0.953 0.353
S71 S 0.739 0.096 0.086
S72 S 0.739 0.904 0.586
S73 S 0.761 0.404 0.586
S74 S 0.761 0.596 0.086
S75 S 0.774 0.453 0.353
S76 S 0.774 0.547 0.853
S77 S 0.781 0.134 0.781
S78 S 0.781 0.866 0.281
S79 S 0.792 0.328 0.465
S80 S 0.792 0.672 0.965
S81 S 0.799 0.206 0.113
S82 S 0.799 0.794 0.613
S83 S 0.842 0.047 0.828
S84 S 0.842 0.953 0.328
S85 S 0.855 0.099 0.060
S86 S 0.855 0.901 0.560
S87 S 0.872 0.175 0.928
S88 S 0.872 0.825 0.428
S89 S 0.897 0.308 0.278
S90 S 0.897 0.692 0.778
S91 S 0.918 0.446 0.379
S92 S 0.918 0.554 0.879
S93 S 0.968 0.077 0.218
S94 S 0.968 0.923 0.718
S95 S 0.989 0.323 0.819
S96 S 0.989 0.677 0.319
Cl1 Cl 0.038 0.375 0.429
Cl2 Cl 0.038 0.625 0.929
Cl3 Cl 0.049 0.124 0.027
Cl4 Cl 0.049 0.876 0.527
Cl5 Cl 0.111 0.363 0.834
Cl6 Cl 0.111 0.637 0.334
Cl7 Cl 0.389 0.137 0.334
Cl8 Cl 0.389 0.863 0.834
Cl9 Cl 0.451 0.376 0.527
Cl10 Cl 0.451 0.624 0.027
Cl11 Cl 0.462 0.125 0.929
Cl12 Cl 0.462 0.875 0.429
Cl13 Cl 0.538 0.125 0.571
Cl14 Cl 0.538 0.875 0.071
Cl15 Cl 0.549 0.376 0.973
Cl16 Cl 0.549 0.624 0.473
Cl17 Cl 0.611 0.137 0.166
Cl18 Cl 0.611 0.863 0.666
Cl19 Cl 0.889 0.363 0.666
Cl20 Cl 0.889 0.637 0.166
Cl21 Cl 0.951 0.124 0.473
Cl22 Cl 0.951 0.876 0.973
Cl23 Cl 0.962 0.375 0.071
Cl24 Cl 0.962 0.625 0.571
O1 O 0.000 0.377 0.250
O2 O 0.000 0.623 0.750
O3 O 0.500 0.123 0.750
O4 O 0.500 0.877 0.250

Record 3
# ZrSCl6O PBE relaxed
# Calculated formation energy = -12.01 eV/f.u.
# Energy = -40.0 eV/f.u.
# Size of the total moment = 0.00 μB/f.u.
data_ZrSCl6O
_chemical_formula_sum 'Zr4 S4 Cl24 O4'
_symmetry_space_group_name_H-M 'P 1'
_symmetry_Int_Tables_number 1
_symmetry_space_group_name_Hall 'P 1'
_cell_length_a 7.568
_cell_length_b 23.992
_cell_length_c 7.208
_cell_angle_alpha 90.00
_cell_angle_beta 113.66
_cell_angle_gamma 90.00
loop_
_atom_site_label
_atom_site_type_symbol
_atom_site_fract_x
_atom_site_fract_y
_atom_site_fract_z
Zr1 Zr 0.153 0.070 0.008
Zr2 Zr 0.153 0.430 0.508
Zr3 Zr 0.847 0.570 0.492
Zr4 Zr 0.847 0.930 0.992
S1 S 0.321 0.629 0.873
S2 S 0.321 0.871 0.373
S3 S 0.679 0.129 0.627
S4 S 0.679 0.371 0.127
Cl1 Cl 0.043 0.523 0.308
Cl2 Cl 0.043 0.977 0.808
Cl3 Cl 0.158 0.156 0.180
Cl4 Cl 0.158 0.344 0.680
Cl5 Cl 0.220 0.656 0.085
Cl6 Cl 0.220 0.844 0.585
Cl7 Cl 0.254 0.102 0.753
Cl8 Cl 0.254 0.398 0.253
Cl9 Cl 0.336 0.705 0.744
Cl10 Cl 0.336 0.795 0.244
Cl11 Cl 0.448 0.033 0.237
Cl12 Cl 0.448 0.467 0.737
Cl13 Cl 0.552 0.533 0.263
Cl14 Cl 0.552 0.967 0.763
Cl15 Cl 0.664 0.205 0.756
Cl16 Cl 0.664 0.295 0.256
Cl17 Cl 0.746 0.602 0.747
Cl18 Cl 0.746 0.898 0.247
Cl19 Cl 0.780 0.156 0.415
Cl20 Cl 0.780 0.344 0.915
Cl21 Cl 0.842 0.656 0.320
Cl22 Cl 0.842 0.844 0.820
Cl23 Cl 0.957 0.023 0.192
Cl24 Cl 0.957 0.477 0.692
O1 O 0.165 0.597 0.719
O2 O 0.165 0.903 0.219
O3 O 0.835 0.097 0.781
O4 O 0.835 0.403 0.281